Record 1
Density functional theory data (PBE with a Hubbard U) for K5Na3Nb6W2O24 after structural relaxation.

Results
The total moment comes out at 1.76 Bohr magnetons per cell. The calculation puts the formation enthalpy at 0 K at -106.51 eV/f.u. Its crystal system is orthorhombic. For the energy, the calculation gives -7.40 eV per atom.

Lattice parameters (Å, degrees): 8.059 8.059 8.078 90.00 90.00 90.37
Sites, in units of the cell vectors:
Nb  0.499  0.499  0.748
O  0.004  0.004  0.500
O  0.499  0.250  0.746
O  0.750  0.499  0.748
O  0.498  0.498  0.500
O  0.998  0.998  0.000
K  0.750  0.750  0.000
O  0.004  0.752  0.748
Nb  0.001  0.499  0.252
O  0.998  0.248  0.254
O  0.499  0.002  0.500
O  0.000  0.500  0.000
O  0.500  0.000  0.000
Nb  0.499  0.499  0.252
O  0.250  0.499  0.254
K  0.750  0.750  0.500
W  0.000  0.000  0.748
O  0.248  0.998  0.254
O  0.500  0.500  0.000
O  0.499  0.250  0.254
O  0.499  0.750  0.748
O  0.499  0.750  0.252
K  0.251  0.749  0.000
Na  0.251  0.251  0.500
K  0.749  0.251  0.000
Nb  0.499  0.001  0.748
O  0.752  0.004  0.748
Nb  0.499  0.001  0.252
O  0.250  0.499  0.746
Na  0.749  0.251  0.500
O  0.752  0.004  0.252
O  0.004  0.752  0.252
O  0.998  0.248  0.746
Na  0.251  0.749  0.500
Nb  0.001  0.499  0.748
O  0.002  0.499  0.500
O  0.248  0.998  0.746
K  0.250  0.250  0.000
W  0.000  0.000  0.252
O  0.750  0.499  0.252

=====

Record 2
Density functional theory data (PBE with a Hubbard U) for LiFeP4O12 after structural relaxation.

Results
The total moment comes out at 20.00 Bohr magnetons per cell. The calculation puts the formation enthalpy at 0 K at -44.60 eV/f.u. Its distance to the lowest polymorph of the same formula is 0.0725 eV per atom. Its crystal system is orthorhombic. For the energy, the calculation gives -6.97 eV per atom.

Lattice parameters (Å, degrees): 7.429 7.429 18.117 90.00 90.00 101.72
Sites, in units of the cell vectors:
O  0.963  0.166  0.646
O  0.127  0.665  0.561
O  0.083  0.660  0.424
O  0.544  0.611  0.692
O  0.579  0.212  0.298
P  0.381  0.619  0.750
O  0.351  0.950  0.215
P  0.634  0.634  0.000
O  0.834  0.037  0.854
O  0.822  0.511  0.650
Li  0.794  0.899  0.140
P  0.765  0.667  0.692
O  0.905  0.335  0.519
O  0.665  0.127  0.439
O  0.788  0.421  0.202
O  0.716  0.842  0.234
O  0.254  0.315  0.570
P  0.667  0.765  0.308
O  0.649  0.050  0.715
O  0.158  0.284  0.266
O  0.340  0.917  0.076
P  0.773  0.287  0.989
O  0.917  0.340  0.924
O  0.212  0.579  0.702
P  0.713  0.227  0.511
P  0.231  0.955  0.152
O  0.839  0.803  0.365
O  0.873  0.335  0.061
Fe  0.046  0.437  0.621
O  0.315  0.254  0.430
O  0.611  0.544  0.308
O  0.095  0.665  0.019
Li  0.206  0.101  0.640
O  0.369  0.574  0.479
O  0.166  0.963  0.354
O  0.335  0.873  0.939
O  0.050  0.649  0.285
O  0.803  0.839  0.635
Fe  0.437  0.046  0.379
O  0.842  0.716  0.766
O  0.037  0.834  0.146
Fe  0.954  0.563  0.121
P  0.955  0.231  0.848
Fe  0.563  0.954  0.879
Li  0.899  0.794  0.860
P  0.366  0.366  0.500
O  0.660  0.083  0.576
O  0.197  0.161  0.135
O  0.161  0.197  0.865
O  0.335  0.905  0.481
O  0.456  0.389  0.192
O  0.511  0.822  0.350
P  0.227  0.713  0.489
P  0.235  0.333  0.192
O  0.489  0.178  0.850
P  0.045  0.769  0.348
Li  0.101  0.206  0.360
P  0.619  0.381  0.250
O  0.421  0.788  0.798
P  0.333  0.235  0.808
P  0.287  0.773  0.011
O  0.389  0.456  0.808
O  0.665  0.095  0.981
P  0.769  0.045  0.652
O  0.950  0.351  0.785
O  0.284  0.158  0.734
O  0.746  0.685  0.070
O  0.426  0.631  0.021
O  0.574  0.369  0.521
O  0.685  0.746  0.930
O  0.178  0.489  0.150
O  0.631  0.426  0.979

=====

Record 3
Density functional theory data (PBE with a Hubbard U) for Ba3Na2Cr4F20 after structural relaxation.

Results
The total moment comes out at 24.00 Bohr magnetons per cell. The calculation puts the formation enthalpy at 0 K at -99.89 eV/f.u. Its crystal system is monoclinic. For the energy, the calculation gives -5.79 eV per atom.

Lattice parameters (Å, degrees): 21.026 5.549 9.199 53.70 90.00 90.00
Sites, in units of the cell vectors:
Ba  0.777  0.966  0.006
Ba  0.500  0.000  0.500
F  0.488  0.687  0.312
Cr  0.638  0.495  0.032
F  0.289  0.305  0.128
Cr  0.603  0.306  0.713
F  0.806  0.325  0.229
F  0.433  0.699  0.806
Cr  0.138  0.505  0.468
F  0.194  0.675  0.771
F  0.321  0.465  0.794
F  0.822  0.111  0.642
Ba  0.000  0.000  0.000
Ba  0.277  0.034  0.494
Na  0.409  0.209  0.774
F  0.908  0.467  0.355
Ba  0.723  0.966  0.506
F  0.607  0.716  0.499
F  0.611  0.168  0.564
F  0.098  0.109  0.564
F  0.902  0.891  0.436
F  0.988  0.313  0.188
F  0.107  0.284  0.001
F  0.306  0.675  0.271
F  0.933  0.301  0.694
F  0.678  0.111  0.142
F  0.211  0.305  0.628
F  0.179  0.465  0.294
F  0.889  0.168  0.064
F  0.408  0.533  0.145
F  0.402  0.109  0.064
F  0.679  0.535  0.206
Cr  0.897  0.306  0.213
F  0.393  0.284  0.501
F  0.322  0.889  0.858
Cr  0.397  0.694  0.287
F  0.789  0.695  0.372
Ba  0.223  0.034  0.994
Cr  0.862  0.495  0.532
F  0.711  0.695  0.872
F  0.067  0.699  0.306
F  0.012  0.687  0.812
F  0.178  0.889  0.358
F  0.893  0.716  0.999
F  0.389  0.832  0.436
F  0.512  0.313  0.688
Na  0.591  0.791  0.226
Cr  0.362  0.505  0.968
F  0.567  0.301  0.194
Na  0.091  0.209  0.274
Cr  0.103  0.694  0.787
Na  0.909  0.791  0.726
F  0.821  0.535  0.706
F  0.092  0.533  0.645
F  0.694  0.325  0.729
F  0.598  0.891  0.936
F  0.111  0.832  0.936
F  0.592  0.467  0.855

=====

Record 4
Density functional theory data (PBE with a Hubbard U) for BaNdNiBiO6 after structural relaxation.

Results
The total moment comes out at 2.00 Bohr magnetons per cell. The calculation puts the formation enthalpy at 0 K at -21.33 eV/f.u. Its crystal system is cubic. For the energy, the calculation gives -6.07 eV per atom.

Lattice parameters (Å, degrees): 5.837 5.837 5.837 60.00 60.00 60.00
Sites, in units of the cell vectors:
Nd  0.250  0.250  0.250
Ba  0.750  0.750  0.750
O  0.254  0.254  0.746
O  0.746  0.746  0.254
Ni  0.500  0.500  0.500
O  0.254  0.746  0.254
O  0.746  0.254  0.746
Bi  0.000  0.000  0.000
O  0.254  0.746  0.746
O  0.746  0.254  0.254